Material: CaBi2C2O2
Method: DFT, PBE
State: relaxed

Lattice parameters (Å, degrees): 3.760 3.760 18.996 90.00 90.00 90.00
Space group I4/mmm (No. 139)
Asymmetric unit:
Ca1 0.000 0.000 0.000 [2 per cell]
Bi1 0.000 0.000 0.177 [4 per cell]
C1 0.000 0.000 0.466 [4 per cell]
O1 0.000 0.500 0.250 [4 per cell]

## Properties
**Raw total energy**: -5.548 eV per atom
**Volume**: 269 Å³/cell
**Size of the total moment**: 0.000 μB/atom
**E_form**: -6.824 kcal/mol of atoms